Entry 1:
CeMg5Ru2 after structural relaxation, computed with PBE.

Computed properties:
calculated density: 4.495 Mg/m³
ΔE_f: -5.40 kcal/mol of atoms
space-group type: P4_2/ncm (138)

a = 9.714 Å, b = 9.714 Å, c = 7.263 Å
α = 90.00°, β = 90.00°, γ = 90.00°
Element x y z (fractional)
1 Ce 0.250 0.250 0.074
2 Ce 0.250 0.250 0.574
3 Ce 0.750 0.750 0.426
4 Ce 0.750 0.750 0.926
5 Mg 0.000 0.000 0.000
6 Mg 0.000 0.500 0.500
7 Mg 0.047 0.700 0.152
8 Mg 0.047 0.800 0.652
9 Mg 0.200 0.547 0.848
10 Mg 0.200 0.953 0.348
11 Mg 0.300 0.547 0.348
12 Mg 0.300 0.953 0.848
13 Mg 0.453 0.700 0.652
14 Mg 0.453 0.800 0.152
15 Mg 0.500 0.000 0.500
16 Mg 0.500 0.500 0.000
17 Mg 0.547 0.200 0.848
18 Mg 0.547 0.300 0.348
19 Mg 0.700 0.047 0.152
20 Mg 0.700 0.453 0.652
21 Mg 0.800 0.047 0.652
22 Mg 0.800 0.453 0.152
23 Mg 0.953 0.200 0.348
24 Mg 0.953 0.300 0.848
25 Ru 0.086 0.086 0.659
26 Ru 0.086 0.414 0.159
27 Ru 0.414 0.086 0.159
28 Ru 0.414 0.414 0.659
29 Ru 0.586 0.586 0.341
30 Ru 0.586 0.914 0.841
31 Ru 0.914 0.586 0.841
32 Ru 0.914 0.914 0.341

Entry 2:
Ce4MgRu after structural relaxation, computed with PBE.

Computed properties:
calculated density: 6.940 Mg/m³
ΔE_f: -2.34 kcal/mol of atoms
space-group type: F-43m (216)

a = 9.755 Å, b = 9.755 Å, c = 9.755 Å
α = 60.00°, β = 60.00°, γ = 60.00°
Element x y z (fractional)
1 Ce 0.036 0.655 0.655
2 Ce 0.060 0.060 0.440
3 Ce 0.060 0.440 0.060
4 Ce 0.060 0.440 0.440
5 Ce 0.189 0.189 0.811
6 Ce 0.189 0.811 0.189
7 Ce 0.189 0.811 0.811
8 Ce 0.440 0.060 0.060
9 Ce 0.440 0.060 0.440
10 Ce 0.440 0.440 0.060
11 Ce 0.655 0.036 0.655
12 Ce 0.655 0.655 0.036
13 Ce 0.655 0.655 0.655
14 Ce 0.811 0.189 0.189
15 Ce 0.811 0.189 0.811
16 Ce 0.811 0.811 0.189
17 Mg 0.421 0.421 0.421
18 Mg 0.421 0.421 0.737
19 Mg 0.421 0.737 0.421
20 Mg 0.737 0.421 0.421
21 Ru 0.411 0.863 0.863
22 Ru 0.863 0.411 0.863
23 Ru 0.863 0.863 0.411
24 Ru 0.863 0.863 0.863

Entry 3:
Ce2MgS4 after structural relaxation, computed with PBE.

Computed properties:
calculated density: 4.427 Mg/m³
distance to the lowest polymorph of the same formula: 0.25 kcal/mol of atoms
ΔE_f: -47.57 kcal/mol of atoms
space-group type: Pca2_1 (29)

a = 12.937 Å, b = 7.767 Å, c = 12.926 Å
α = 90.00°, β = 90.00°, γ = 90.00°
Element x y z (fractional)
1 Ce 0.109 0.115 0.000
2 Ce 0.124 0.616 0.643
3 Ce 0.133 0.371 0.309
4 Ce 0.134 0.871 0.308
5 Ce 0.366 0.871 0.808
6 Ce 0.367 0.371 0.809
7 Ce 0.376 0.616 0.143
8 Ce 0.391 0.115 0.500
9 Ce 0.609 0.885 0.000
10 Ce 0.624 0.384 0.643
11 Ce 0.633 0.629 0.309
12 Ce 0.634 0.129 0.308
13 Ce 0.866 0.129 0.808
14 Ce 0.867 0.629 0.809
15 Ce 0.876 0.384 0.143
16 Ce 0.891 0.885 0.500
17 Mg 0.109 0.617 0.008
18 Mg 0.124 0.122 0.636
19 Mg 0.376 0.122 0.136
20 Mg 0.391 0.617 0.508
21 Mg 0.609 0.383 0.008
22 Mg 0.624 0.878 0.636
23 Mg 0.876 0.878 0.136
24 Mg 0.891 0.383 0.508
25 S 0.012 0.119 0.194
26 S 0.022 0.630 0.183
27 S 0.029 0.620 0.446
28 S 0.044 0.129 0.456
29 S 0.209 0.121 0.813
30 S 0.209 0.620 0.838
31 S 0.232 0.366 0.090
32 S 0.233 0.869 0.088
33 S 0.267 0.869 0.588
34 S 0.268 0.366 0.590
35 S 0.291 0.121 0.313
36 S 0.291 0.620 0.338
37 S 0.456 0.129 0.956
38 S 0.471 0.620 0.946
39 S 0.478 0.630 0.683
40 S 0.488 0.119 0.694
41 S 0.512 0.881 0.194
42 S 0.522 0.370 0.183
43 S 0.529 0.380 0.446
44 S 0.544 0.871 0.456
45 S 0.709 0.380 0.838
46 S 0.709 0.879 0.813
47 S 0.732 0.634 0.090
48 S 0.733 0.131 0.088
49 S 0.767 0.131 0.588
50 S 0.768 0.634 0.590
51 S 0.791 0.380 0.338
52 S 0.791 0.879 0.313
53 S 0.956 0.871 0.956
54 S 0.971 0.380 0.946
55 S 0.978 0.370 0.683
56 S 0.988 0.881 0.694

Entry 4:
Ce2MgS4 after structural relaxation, computed with PBE.

Computed properties:
calculated density: 3.802 Mg/m³
distance to the lowest polymorph of the same formula: 1.25 kcal/mol of atoms
ΔE_f: -46.57 kcal/mol of atoms

a = 16.233 Å, b = 16.233 Å, c = 16.233 Å
α = 60.00°, β = 60.00°, γ = 60.00°
Element x y z (fractional)
1 Ce 0.312 0.062 0.312
2 Ce 0.312 0.062 0.812
3 Ce 0.312 0.562 0.312
4 Ce 0.312 0.562 0.812
5 Ce 0.812 0.062 0.312
6 Ce 0.812 0.062 0.812
7 Ce 0.812 0.562 0.312
8 Ce 0.812 0.562 0.812
9 Ce 0.312 0.312 0.062
10 Ce 0.312 0.312 0.562
11 Ce 0.312 0.812 0.062
12 Ce 0.312 0.812 0.562
13 Ce 0.812 0.312 0.062
14 Ce 0.812 0.312 0.562
15 Ce 0.812 0.812 0.062
16 Ce 0.812 0.812 0.562
17 Ce 0.062 0.312 0.312
18 Ce 0.062 0.312 0.812
19 Ce 0.062 0.812 0.312
20 Ce 0.062 0.812 0.812
21 Ce 0.562 0.312 0.312
22 Ce 0.562 0.312 0.812
23 Ce 0.562 0.812 0.312
24 Ce 0.562 0.812 0.812
25 Ce 0.312 0.312 0.312
26 Ce 0.312 0.312 0.812
27 Ce 0.312 0.812 0.312
28 Ce 0.312 0.812 0.812
29 Ce 0.812 0.312 0.312
30 Ce 0.812 0.312 0.812
31 Ce 0.812 0.812 0.312
32 Ce 0.812 0.812 0.812
33 Mg 0.000 0.000 0.000
34 Mg 0.000 0.000 0.500
35 Mg 0.000 0.500 0.000
36 Mg 0.000 0.500 0.500
37 Mg 0.500 0.000 0.000
38 Mg 0.500 0.000 0.500
39 Mg 0.500 0.500 0.000
40 Mg 0.500 0.500 0.500
41 Mg 0.125 0.125 0.125
42 Mg 0.125 0.125 0.625
43 Mg 0.125 0.625 0.125
44 Mg 0.125 0.625 0.625
45 Mg 0.625 0.125 0.125
46 Mg 0.625 0.125 0.625
47 Mg 0.625 0.625 0.125
48 Mg 0.625 0.625 0.625
49 S 0.188 0.188 0.188
50 S 0.188 0.188 0.688
51 S 0.188 0.688 0.188
52 S 0.188 0.688 0.688
53 S 0.688 0.188 0.188
54 S 0.688 0.188 0.688
55 S 0.688 0.688 0.188
56 S 0.688 0.688 0.688
57 S 0.435 0.188 0.188
58 S 0.435 0.188 0.688
59 S 0.435 0.688 0.188
60 S 0.435 0.688 0.688
61 S 0.935 0.188 0.188
62 S 0.935 0.188 0.688
63 S 0.935 0.688 0.188
64 S 0.935 0.688 0.688
65 S 0.188 0.435 0.188
66 S 0.188 0.435 0.688
67 S 0.188 0.935 0.188
68 S 0.188 0.935 0.688
69 S 0.688 0.435 0.188
70 S 0.688 0.435 0.688
71 S 0.688 0.935 0.188
72 S 0.688 0.935 0.688
73 S 0.188 0.188 0.435
74 S 0.188 0.188 0.935
75 S 0.188 0.688 0.435
76 S 0.188 0.688 0.935
77 S 0.688 0.188 0.435
78 S 0.688 0.188 0.935
79 S 0.688 0.688 0.435
80 S 0.688 0.688 0.935
81 S 0.437 0.437 0.190
82 S 0.437 0.437 0.690
83 S 0.437 0.937 0.190
84 S 0.437 0.937 0.690
85 S 0.937 0.437 0.190
86 S 0.937 0.437 0.690
87 S 0.937 0.937 0.190
88 S 0.937 0.937 0.690
89 S 0.437 0.190 0.437
90 S 0.437 0.190 0.937
91 S 0.437 0.690 0.437
92 S 0.437 0.690 0.937
93 S 0.937 0.190 0.437
94 S 0.937 0.190 0.937
95 S 0.937 0.690 0.437
96 S 0.937 0.690 0.937
97 S 0.190 0.437 0.437
98 S 0.190 0.437 0.937
99 S 0.190 0.937 0.437
100 S 0.190 0.937 0.937
101 S 0.690 0.437 0.437
102 S 0.690 0.437 0.937
103 S 0.690 0.937 0.437
104 S 0.690 0.937 0.937
105 S 0.437 0.437 0.437
106 S 0.437 0.437 0.937
107 S 0.437 0.937 0.437
108 S 0.437 0.937 0.937
109 S 0.937 0.437 0.437
110 S 0.937 0.437 0.937
111 S 0.937 0.937 0.437
112 S 0.937 0.937 0.937

Entry 5:
Ce2MgS4 after structural relaxation, computed with PBE.

Computed properties:
calculated density: 3.955 Mg/m³
distance to the lowest polymorph of the same formula: 1.61 kcal/mol of atoms
ΔE_f: -46.22 kcal/mol of atoms
space-group type: Pnma (62)

a = 13.134 Å, b = 3.974 Å, c = 13.925 Å
α = 90.00°, β = 90.00°, γ = 90.00°
Element x y z (fractional)
1 Ce 0.123 0.250 0.072
2 Ce 0.128 0.250 0.708
3 Ce 0.372 0.750 0.208
4 Ce 0.377 0.750 0.572
5 Ce 0.623 0.250 0.428
6 Ce 0.628 0.250 0.792
7 Ce 0.872 0.750 0.292
8 Ce 0.877 0.750 0.928
9 Mg 0.106 0.750 0.465
10 Mg 0.394 0.250 0.965
11 Mg 0.606 0.750 0.035
12 Mg 0.894 0.250 0.535
13 S 0.002 0.250 0.386
14 S 0.025 0.250 0.886
15 S 0.227 0.250 0.519
16 S 0.233 0.250 0.241
17 S 0.267 0.750 0.741
18 S 0.273 0.750 0.019
19 S 0.475 0.750 0.386
20 S 0.498 0.750 0.886
21 S 0.502 0.250 0.114
22 S 0.525 0.250 0.614
23 S 0.727 0.250 0.981
24 S 0.733 0.250 0.259
25 S 0.767 0.750 0.759
26 S 0.773 0.750 0.481
27 S 0.975 0.750 0.114
28 S 0.998 0.750 0.614

Entry 6:
Ce2MgS4 after structural relaxation, computed with PBE.

Computed properties:
calculated density: 3.689 Mg/m³
distance to the lowest polymorph of the same formula: 0.00 kcal/mol of atoms
ΔE_f: -47.83 kcal/mol of atoms
space-group type: Pnma (62)

a = 14.066 Å, b = 8.341 Å, c = 6.641 Å
α = 90.00°, β = 90.00°, γ = 90.00°
Element x y z (fractional)
1 Ce 0.000 0.000 0.000
2 Ce 0.000 0.500 0.000
3 Ce 0.231 0.250 0.499
4 Ce 0.269 0.750 0.999
5 Ce 0.500 0.000 0.500
6 Ce 0.500 0.500 0.500
7 Ce 0.731 0.250 0.001
8 Ce 0.769 0.750 0.501
9 Mg 0.093 0.750 0.422
10 Mg 0.407 0.250 0.922
11 Mg 0.593 0.750 0.078
12 Mg 0.907 0.250 0.578
13 S 0.065 0.250 0.743
14 S 0.093 0.750 0.787
15 S 0.167 0.519 0.249
16 S 0.167 0.981 0.249
17 S 0.333 0.019 0.749
18 S 0.333 0.481 0.749
19 S 0.407 0.250 0.287
20 S 0.435 0.750 0.243
21 S 0.565 0.250 0.757
22 S 0.593 0.750 0.713
23 S 0.667 0.519 0.251
24 S 0.667 0.981 0.251
25 S 0.833 0.019 0.751
26 S 0.833 0.481 0.751
27 S 0.907 0.250 0.213
28 S 0.935 0.750 0.257